1.
BaMg6NbO8 after structural relaxation, computed with PBE-GGA.

Calculated values
SG ... P4/mmm, No. 123
Total energy after the MP2020 corrections ... -6.202 eV/atom
ΔE_f ... -3669 kJ/mol of formula units
Calculated density ... 4.16 Mg/m³
Relative energy among the computed polymorphs ... 64 meV per atom

abc: 9.136 4.691 4.691
angles: 90.00 90.00 90.00
Positions (direct):
O: 0.000 0.000 0.500
Mg: 0.259 0.500 0.000
Mg: 0.000 0.500 0.500
Mg: 0.741 0.000 0.500
Mg: 0.741 0.500 0.000
Nb: 0.500 0.000 0.000
Mg: 0.259 0.000 0.500
Ba: 0.000 0.000 0.000
O: 0.728 0.000 0.000
O: 0.272 0.000 0.000
O: 0.500 0.000 0.500
O: 0.000 0.500 0.000
O: 0.500 0.500 0.000
O: 0.253 0.500 0.500
Mg: 0.500 0.500 0.500
O: 0.747 0.500 0.500

2.
NaNp3 after structural relaxation, computed with PBE-GGA.

Calculated values
SG ... I4/mmm, No. 139
ΔE_f ... 421 kJ/mol of formula units
Calculated density ... 12.96 Mg/m³

abc: 5.438 5.438 5.438
angles: 129.21 129.21 74.67
Positions (direct):
Np: 0.250 0.750 0.500
Np: 0.750 0.250 0.500
Np: 0.500 0.500 0.000
Na: 0.000 0.000 0.000

3.
Sb2ClF17 after structural relaxation, computed with PBE-GGA.

Calculated values
SG ... P2_1/c, No. 14
Total energy after the MP2020 corrections ... -4.029 eV/atom
ΔE_f ... -3659 kJ/mol of formula units
Calculated density ... 3.18 Mg/m³

abc: 8.579 12.026 15.987
angles: 49.60 90.00 90.00
Positions (direct):
F: 0.891 0.885 0.104
F: 0.930 0.127 0.729
Sb: 0.992 0.920 0.356
F: 0.970 0.441 0.123
F: 0.832 0.544 0.344
Sb: 0.525 0.535 0.155
F: 0.070 0.873 0.271
Cl: 0.000 0.500 0.000
F: 0.968 0.121 0.232
F: 0.468 0.879 0.268
Sb: 0.492 0.080 0.144
F: 0.087 0.060 0.543
Cl: 0.500 0.500 0.500
F: 0.373 0.562 0.886
F: 0.587 0.940 0.957
Sb: 0.008 0.080 0.644
F: 0.212 0.138 0.651
F: 0.530 0.441 0.623
F: 0.873 0.438 0.614
F: 0.288 0.138 0.151
F: 0.021 0.699 0.489
F: 0.609 0.885 0.604
F: 0.391 0.115 0.396
F: 0.699 0.066 0.109
F: 0.788 0.862 0.349
F: 0.127 0.562 0.386
F: 0.376 0.617 0.479
F: 0.913 0.940 0.457
F: 0.982 0.906 0.962
F: 0.082 0.657 0.674
F: 0.109 0.115 0.896
F: 0.430 0.873 0.771
F: 0.441 0.615 0.691
F: 0.137 0.381 0.046
F: 0.363 0.381 0.546
F: 0.030 0.559 0.877
F: 0.482 0.094 0.538
F: 0.979 0.301 0.511
F: 0.863 0.619 0.954
F: 0.032 0.879 0.768
F: 0.627 0.438 0.114
F: 0.714 0.636 0.128
Cl: 0.000 0.000 0.000
F: 0.214 0.364 0.372
F: 0.018 0.094 0.038
F: 0.786 0.636 0.628
F: 0.413 0.060 0.043
F: 0.712 0.862 0.849
F: 0.849 0.094 0.929
F: 0.286 0.364 0.872
F: 0.521 0.301 0.011
F: 0.199 0.934 0.391
F: 0.668 0.544 0.844
F: 0.470 0.559 0.377
Sb: 0.508 0.920 0.856
Sb: 0.475 0.465 0.845
F: 0.332 0.456 0.156
F: 0.918 0.343 0.326
F: 0.151 0.906 0.071
F: 0.637 0.619 0.454
F: 0.518 0.906 0.462
F: 0.059 0.615 0.191
F: 0.876 0.383 0.021
F: 0.801 0.066 0.609
F: 0.941 0.385 0.809
F: 0.570 0.127 0.229
F: 0.301 0.934 0.891
F: 0.582 0.343 0.826
F: 0.124 0.617 0.979
F: 0.479 0.699 0.989
Cl: 0.500 0.000 0.500
F: 0.651 0.094 0.429
F: 0.418 0.657 0.174
F: 0.532 0.121 0.732
F: 0.624 0.383 0.521
Sb: 0.975 0.535 0.655
F: 0.349 0.906 0.571
Sb: 0.025 0.465 0.345
F: 0.168 0.456 0.656
F: 0.559 0.385 0.309

4.
Na2O after structural relaxation, computed with PBE-GGA.

Calculated values
SG ... P1, No. 1
Total energy after the MP2020 corrections ... -3.703 eV/atom
ΔE_f ... -339 kJ/mol of formula units
Calculated density ... 1.90 Mg/m³

abc: 12.570 11.868 12.447
angles: 85.31 91.82 85.40
Positions (direct):
O: 0.985 0.324 0.583
O: 0.545 0.007 0.205
O: 0.632 0.374 0.463
Na: 0.589 0.240 0.837
O: 0.867 0.493 0.328
Na: 0.005 0.553 0.239
Na: 0.050 0.838 0.345
Na: 0.630 0.026 0.608
O: 0.101 0.596 0.389
O: 0.626 0.740 0.292
O: 0.862 0.728 0.105
Na: 0.869 0.995 0.405
Na: 0.939 0.886 0.141
O: 0.799 0.016 0.006
Na: 0.011 0.575 0.875
Na: 0.410 0.805 0.846
Na: 0.473 0.843 0.218
Na: 0.209 0.646 0.749
Na: 0.903 0.418 0.706
Na: 0.071 0.387 0.426
Na: 0.823 0.233 0.580
Na: 0.976 0.011 0.930
Na: 0.658 0.977 0.811
Na: 0.112 0.415 0.681
O: 0.259 0.118 0.068
Na: 0.474 0.393 0.146
Na: 0.809 0.801 0.549
Na: 0.694 0.224 0.365
Na: 0.046 0.687 0.064
Na: 0.796 0.669 0.271
Na: 0.975 0.811 0.706
Na: 0.139 0.178 0.916
Na: 0.860 0.009 0.700
Na: 0.070 0.112 0.381
Na: 0.945 0.370 0.977
Na: 0.352 0.354 0.705
Na: 0.626 0.779 0.686
Na: 0.284 0.208 0.448
Na: 0.093 0.693 0.537
O: 0.758 0.260 0.199
Na: 0.756 0.490 0.462
O: 0.979 0.858 0.518
O: 0.496 0.927 0.715
O: 0.348 0.602 0.869
Na: 0.103 0.300 0.113
Na: 0.915 0.316 0.279
O: 0.038 0.993 0.762
Na: 0.226 0.454 0.924
O: 0.983 0.185 0.000
Na: 0.951 0.556 0.482
Na: 0.109 0.956 0.596
O: 0.516 0.263 0.005
O: 0.717 0.634 0.583
Na: 0.788 0.575 0.053
O: 0.245 0.068 0.566
Na: 0.518 0.107 0.355
O: 0.394 0.252 0.307
Na: 0.511 0.977 0.024
Na: 0.495 0.451 0.913
Na: 0.879 0.133 0.142
O: 0.139 0.820 0.143
O: 0.223 0.297 0.802
Na: 0.350 0.222 0.940
Na: 0.560 0.681 0.989
O: 0.032 0.601 0.700
Na: 0.675 0.345 0.048
Na: 0.694 0.849 0.143
Na: 0.334 0.648 0.054
Na: 0.466 0.405 0.378
Na: 0.258 0.401 0.258
O: 0.790 0.838 0.746
Na: 0.659 0.120 0.117
Na: 0.644 0.475 0.647
O: 0.098 0.874 0.030
O: 0.076 0.489 0.032
Na: 0.531 0.616 0.208
Na: 0.358 0.072 0.711
Na: 0.095 0.046 0.127
O: 0.618 0.519 0.081
Na: 0.280 0.920 0.075
Na: 0.438 0.578 0.715
Na: 0.712 0.438 0.247
Na: 0.258 0.155 0.242
O: 0.514 0.396 0.732
Na: 0.107 0.171 0.672
O: 0.717 0.151 0.723
O: 0.981 0.011 0.266
O: 0.375 0.537 0.227
Na: 0.369 0.909 0.573
O: 0.690 0.968 0.990
O: 0.697 0.045 0.450
Na: 0.163 0.892 0.862
O: 0.121 0.274 0.298
Na: 0.250 0.641 0.309
Na: 0.642 0.914 0.348
Na: 0.434 0.160 0.144
O: 0.432 0.811 0.034
Na: 0.588 0.271 0.610
Na: 0.822 0.647 0.732
Na: 0.823 0.176 0.879
Na: 0.587 0.664 0.452
Na: 0.814 0.828 0.936

5.
CaP4H2O12 after structural relaxation, computed with PBE-GGA.

Calculated values
SG ... P2_1/c, No. 14
Total energy after the MP2020 corrections ... -7.300 eV/atom
ΔE_f ... -4717 kJ/mol of formula units
Calculated density ... 2.36 Mg/m³

abc: 9.807 5.748 8.947
angles: 87.85 90.00 90.00
Positions (direct):
O: 0.657 0.498 0.091
O: 0.694 0.421 0.821
H: 0.049 0.189 0.662
Ca: 0.000 0.000 0.000
O: 0.630 0.671 0.458
O: 0.870 0.671 0.958
O: 0.414 0.814 0.727
O: 0.086 0.814 0.227
O: 0.130 0.329 0.042
O: 0.633 0.825 0.904
O: 0.809 0.137 0.118
P: 0.213 0.715 0.300
P: 0.724 0.611 0.942
O: 0.370 0.329 0.542
O: 0.343 0.502 0.909
P: 0.287 0.715 0.800
O: 0.806 0.421 0.321
P: 0.276 0.389 0.058
P: 0.224 0.389 0.558
P: 0.776 0.611 0.442
Ca: 0.500 0.000 0.500
O: 0.309 0.863 0.382
O: 0.194 0.579 0.679
O: 0.306 0.579 0.179
P: 0.713 0.285 0.200
O: 0.586 0.186 0.273
O: 0.867 0.825 0.404
O: 0.843 0.498 0.591
H: 0.951 0.811 0.338
H: 0.549 0.811 0.838
O: 0.133 0.175 0.596
O: 0.191 0.863 0.882
O: 0.367 0.175 0.096
O: 0.914 0.186 0.773
O: 0.157 0.502 0.409
O: 0.691 0.137 0.618
H: 0.451 0.189 0.162
P: 0.787 0.285 0.700

6.
Ce4Al23Ni6 after structural relaxation, computed with PBE-GGA.

Calculated values
SG ... C2/m, No. 12
ΔE_f ... -1600 kJ/mol of formula units
Calculated density ... 4.60 Mg/m³

abc: 8.260 8.260 18.310
angles: 67.53 67.53 28.85
Positions (direct):
Al: 0.377 0.377 0.096
Al: 0.623 0.623 0.904
Al: 0.143 0.143 0.642
Ni: 0.992 0.992 0.633
Al: 0.203 0.203 0.978
Al: 0.857 0.857 0.358
Al: 0.910 0.910 0.548
Al: 0.277 0.277 0.823
Al: 0.744 0.744 0.546
Al: 0.256 0.256 0.454
Al: 0.000 0.000 0.000
Ni: 0.774 0.774 0.898
Al: 0.797 0.797 0.022
Ni: 0.690 0.690 0.432
Al: 0.532 0.532 0.719
Al: 0.608 0.608 0.339
Al: 0.568 0.568 0.561
Al: 0.089 0.089 0.222
Ni: 0.226 0.226 0.102
Al: 0.392 0.392 0.661
Al: 0.090 0.090 0.452
Ce: 0.430 0.430 0.907
Ce: 0.265 0.265 0.282
Ni: 0.310 0.310 0.568
Al: 0.918 0.918 0.187
Al: 0.911 0.911 0.778
Al: 0.082 0.082 0.813
Ni: 0.008 0.008 0.367
Al: 0.723 0.723 0.177
Ce: 0.570 0.570 0.093
Al: 0.468 0.468 0.281
Ce: 0.735 0.735 0.718
Al: 0.432 0.432 0.439

7.
Cs4P2Se9 after structural relaxation, computed with PBE-GGA.

Calculated values
SG ... C2/c, No. 15
Total energy after the MP2020 corrections ... -4.030 eV/atom
ΔE_f ... -1406 kJ/mol of formula units
Calculated density ... 3.78 Mg/m³

abc: 7.558 7.558 20.123
angles: 87.34 87.34 92.79
Positions (direct):
Se: 0.506 0.112 0.645
Se: 0.494 0.888 0.355
Cs: 0.283 0.784 0.525
Cs: 0.243 0.437 0.326
Se: 0.985 0.940 0.349
P: 0.747 0.732 0.877
Cs: 0.216 0.717 0.975
Cs: 0.563 0.757 0.174
Se: 0.718 0.791 0.983
Cs: 0.784 0.283 0.025
Se: 0.940 0.985 0.849
Se: 0.888 0.494 0.855
P: 0.732 0.747 0.377
Se: 0.906 0.094 0.250
Se: 0.015 0.060 0.651
Se: 0.060 0.015 0.151
Se: 0.791 0.718 0.483
Se: 0.752 0.508 0.320
P: 0.253 0.268 0.123
Se: 0.282 0.209 0.017
P: 0.268 0.253 0.623
Cs: 0.717 0.216 0.475
Se: 0.508 0.752 0.820
Cs: 0.437 0.243 0.826
Cs: 0.757 0.563 0.674
Se: 0.094 0.906 0.750
Se: 0.248 0.492 0.680
Se: 0.112 0.506 0.145
Se: 0.492 0.248 0.180
Se: 0.209 0.282 0.517

8.
CdGeP2 after structural relaxation, computed with PBE-GGA.

Calculated values
SG ... I-42d, No. 122
Piezoelectric modulus e_max ... 0.2 C/m2
ΔE_f ... -35 kJ/mol of formula units
Calculated density ... 4.43 Mg/m³
Relative energy among the computed polymorphs ... 0 meV per atom

abc: 6.854 6.854 6.854
angles: 129.84 129.84 73.67
Positions (direct):
Ge: 0.500 0.500 0.000
Cd: 0.000 0.000 0.000
P: 0.592 0.625 0.467
P: 0.375 0.842 0.967
Cd: 0.750 0.250 0.500
P: 0.875 0.408 0.033
Ge: 0.250 0.750 0.500
P: 0.158 0.125 0.533

9.
Sm3Ni13B2 after structural relaxation, computed with PBE-GGA.

Calculated values
SG ... P6/mmm, No. 191
ΔE_f ... -685 kJ/mol of formula units
Calculated density ... 8.62 Mg/m³

abc: 5.006 5.006 10.968
angles: 90.00 90.00 120.00
Positions (direct):
Ni: 0.500 0.000 0.866
Ni: 0.000 0.500 0.866
Ni: 0.667 0.333 0.681
Ni: 0.500 0.000 0.134
Sm: 0.000 0.000 0.000
Ni: 0.000 0.500 0.134
Ni: 0.333 0.667 0.681
B: 0.667 0.333 0.000
Sm: 0.000 0.000 0.331
Ni: 0.500 0.500 0.500
Ni: 0.500 0.000 0.500
Ni: 0.667 0.333 0.319
Ni: 0.500 0.500 0.866
Ni: 0.000 0.500 0.500
Ni: 0.333 0.667 0.319
B: 0.333 0.667 0.000
Ni: 0.500 0.500 0.134
Sm: 0.000 0.000 0.669

10.
Y3Sn after structural relaxation, computed with PBE-GGA.

Calculated values
SG ... I4/mmm, No. 139
ΔE_f ... -152 kJ/mol of formula units
Calculated density ... 5.55 Mg/m³

abc: 6.219 6.219 6.219
angles: 135.77 135.77 64.33
Positions (direct):
Sn: 0.000 0.000 0.000
Y: 0.750 0.250 0.500
Y: 0.500 0.500 0.000
Y: 0.250 0.750 0.500

11.
TbGa3Ni after structural relaxation, computed with PBE-GGA.

Calculated values
SG ... I4mm, No. 107
ΔE_f ... -282 kJ/mol of formula units
Calculated density ... 7.99 Mg/m³
Relative energy among the computed polymorphs ... 0 meV per atom

abc: 4.176 4.176 5.879
angles: 69.19 69.19 90.00
Positions (direct):
Ga: 0.238 0.738 0.523
Tb: 0.990 0.990 0.019
Ga: 0.738 0.238 0.523
Ni: 0.629 0.629 0.742
Ga: 0.404 0.404 0.192

12.
BaGe3Pd after structural relaxation, computed with PBE-GGA.

Calculated values
SG ... I4mm, No. 107
ΔE_f ... -275 kJ/mol of formula units
Calculated density ... 6.80 Mg/m³

abc: 4.603 4.603 6.235
angles: 111.66 111.66 90.00
Positions (direct):
Ge: 0.856 0.356 0.712
Pd: 0.250 0.250 0.500
Ge: 0.002 0.002 0.005
Ge: 0.356 0.856 0.712
Ba: 0.604 0.604 0.208